Compound: NaH15O8
Source: Materials Project
Functional: r²SCAN
Structure: relaxed

For the formation energy from the elements, the calculation gives -1.111 eV/atom. As for the total DFT energy (no corrections): -0.3976 Ry per atom.

Cell lengths 7.212, 15.994, 6.723 Å; angles 90.00, 92.24, 90.00 degrees
Element x y z (fractional)
Na1 0.544 0.259 0.021
Na2 0.456 0.759 0.479
Na3 0.456 0.741 0.979
Na4 0.544 0.241 0.521
H1 0.190 0.487 0.542
H2 0.810 0.987 0.958
H3 0.810 0.513 0.458
H4 0.190 0.013 0.042
H5 0.872 0.222 0.778
H6 0.128 0.722 0.722
H7 0.128 0.778 0.222
H8 0.872 0.278 0.278
H9 0.817 0.318 0.767
H10 0.183 0.818 0.733
H11 0.183 0.682 0.233
H12 0.817 0.182 0.267
H13 0.260 0.324 0.712
H14 0.740 0.824 0.788
H15 0.740 0.676 0.288
H16 0.260 0.176 0.212
H17 0.216 0.231 0.765
H18 0.784 0.731 0.735
H19 0.784 0.769 0.235
H20 0.216 0.269 0.265
H21 0.409 0.090 0.046
H22 0.591 0.590 0.454
H23 0.591 0.910 0.954
H24 0.409 0.410 0.546
H25 0.632 0.090 0.079
H26 0.368 0.590 0.421
H27 0.368 0.910 0.921
H28 0.632 0.410 0.579
H29 0.644 0.443 0.073
H30 0.356 0.943 0.427
H31 0.356 0.557 0.927
H32 0.644 0.057 0.573
H33 0.550 0.400 0.256
H34 0.450 0.900 0.244
H35 0.450 0.600 0.744
H36 0.550 0.100 0.756
H37 0.346 0.435 0.031
H38 0.654 0.935 0.469
H39 0.654 0.565 0.969
H40 0.346 0.065 0.531
H41 0.203 0.450 0.846
H42 0.797 0.950 0.654
H43 0.797 0.550 0.154
H44 0.203 0.050 0.346
H45 0.027 0.570 0.334
H46 0.973 0.070 0.166
H47 0.973 0.430 0.666
H48 0.027 0.930 0.834
H49 0.167 0.535 0.175
H50 0.833 0.035 0.325
H51 0.833 0.465 0.825
H52 0.167 0.965 0.675
H53 0.095 0.388 0.166
H54 0.905 0.888 0.334
H55 0.905 0.612 0.834
H56 0.095 0.112 0.666
H57 0.105 0.382 0.401
H58 0.895 0.882 0.099
H59 0.895 0.618 0.599
H60 0.105 0.118 0.901
O1 0.184 0.432 0.606
O2 0.816 0.932 0.894
O3 0.816 0.568 0.394
O4 0.184 0.068 0.106
O5 0.769 0.261 0.783
O6 0.231 0.761 0.717
O7 0.231 0.739 0.217
O8 0.769 0.239 0.283
O9 0.316 0.273 0.762
O10 0.684 0.773 0.738
O11 0.684 0.727 0.238
O12 0.316 0.227 0.262
O13 0.527 0.110 0.994
O14 0.473 0.610 0.506
O15 0.473 0.890 0.006
O16 0.527 0.390 0.494
O17 0.551 0.401 0.108
O18 0.449 0.901 0.392
O19 0.449 0.599 0.892
O20 0.551 0.099 0.608
O21 0.223 0.461 0.993
O22 0.777 0.961 0.507
O23 0.777 0.539 0.007
O24 0.223 0.039 0.493
O25 0.159 0.572 0.290
O26 0.841 0.072 0.210
O27 0.841 0.428 0.710
O28 0.159 0.928 0.790
O29 0.063 0.352 0.277
O30 0.937 0.852 0.223
O31 0.937 0.648 0.723
O32 0.063 0.148 0.777